DyTmAg2 | r2SCAN | relaxed

Total magnetic moment = 0.000 μB per atom
Energy of formation = -0.35 eV/atom

a b c (Å): 5.065 5.065 5.065
angles (deg): 60.00 60.00 60.00
Element x y z (fractional)
Ag  0.750  0.750  0.750
Dy  0.500  0.500  0.500
Ag  0.250  0.250  0.250
Tm  0.000  0.000  0.000